VASP calculation (PBE) on a geometry-optimized KCN2 structure.

Summary:
volume = 142.35 Å³/cell
energy with MP2020 corrections = -54.878 eV for the cell shown
mass density = 1.85 g/cm3
DFT formation energy = -0.107 eV per atom

Geometry as POSCAR:
```
KCN2
1.0
-2.6868 3.4711 3.6563
-0.8441 2.4999 -5.0670
-2.0104 -5.3447 0.1704
N C K
4 2 2
Direct
0.6380 0.8620 0.5000
0.8620 0.3620 0.2240
0.1380 0.6380 0.7760
0.3620 0.1380 0.5000
0.5000 0.0000 0.5000
0.0000 0.5000 0.5000
0.7500 0.7500 0.0000
0.2500 0.2500 0.0000
```

---

VASP calculation (PBE) on a geometry-optimized BeP2O6 structure.

Summary:
volume = 437.81 Å³/cell
energy with MP2020 corrections = -277.117 eV for the cell shown
mass density = 2.53 g/cm3
DFT formation energy = -2.781 eV per atom
ΔE to the lowest computed polymorph = 0 meV/atom

Geometry as POSCAR:
```
BeP2O6
1.0
13.0809 0.0000 0.0000
0.0000 4.9627 0.0000
0.0000 2.8250 6.7442
O P Be
24 8 4
Direct
0.8875 0.7527 0.0086
0.0766 0.7061 0.6632
0.8450 0.9192 0.6526
0.0522 0.7372 0.2315
0.1125 0.2473 0.9914
0.4478 0.7372 0.7315
0.1550 0.0808 0.3474
0.6125 0.7527 0.5086
0.6360 0.7899 0.8595
0.2360 0.8215 0.1483
0.7640 0.1785 0.8517
0.3875 0.2473 0.4914
0.1359 0.2101 0.6405
0.7360 0.1785 0.3517
0.8640 0.7899 0.3595
0.9234 0.2939 0.3368
0.3640 0.2101 0.1405
0.9478 0.2628 0.7685
0.5766 0.2939 0.8368
0.4234 0.7061 0.1632
0.3450 0.0808 0.8474
0.2640 0.8215 0.6483
0.6550 0.9192 0.1526
0.5522 0.2628 0.2685
0.3492 0.9534 0.0847
0.8696 0.0255 0.8288
0.3696 0.9745 0.6712
0.1304 0.9745 0.1712
0.6508 0.0466 0.9153
0.6304 0.0255 0.3288
0.1508 0.9534 0.5847
0.8492 0.0466 0.4153
0.9327 0.6472 0.2336
0.4327 0.3528 0.2664
0.5673 0.6472 0.7336
0.0673 0.3528 0.7664
```

---

VASP calculation (PBE) on a geometry-optimized UCuSi structure.

Summary:
volume = 55.13 Å³/cell
energy with MP2020 corrections = -21.118 eV for the cell shown
mass density = 9.93 g/cm3
DFT formation energy = -0.101 eV per atom

Geometry as POSCAR:
```
UCuSi
1.0
1.5477 2.9588 2.2605
-3.9965 -0.4895 -0.2194
0.1271 -2.4173 3.0771
U Si Cu
1 1 1
Direct
0.3333 0.6667 0.0000
0.0000 0.0000 0.5000
0.6667 0.3333 0.5000
```

---

Please write out number 3 again, unchanged.
VASP calculation (PBE) on a geometry-optimized UCuSi structure.

Summary:
volume = 55.13 Å³/cell
energy with MP2020 corrections = -21.118 eV for the cell shown
mass density = 9.93 g/cm3
DFT formation energy = -0.101 eV per atom

Geometry as POSCAR:
```
UCuSi
1.0
1.5477 2.9588 2.2605
-3.9965 -0.4895 -0.2194
0.1271 -2.4173 3.0771
U Si Cu
1 1 1
Direct
0.3333 0.6667 0.0000
0.0000 0.0000 0.5000
0.6667 0.3333 0.5000
```

---

What is the volume in the third record? 55.13 Å³/cell